No. 1
Rb5W18O54 | the Materials Project database | PBE with a Hubbard U | relaxed; ρ = 6.7 g/cm3; size of the total moment = 4.0 μB per cell; crystal system = trigonal; calculated total energy = -7.279 eV per atom
1.0
-2.1136 -7.2181 -0.1069
6.4274 2.0861 -3.3039
22.8409 -7.2786 39.8390
O W Rb
108 36 10
Direct
0.0000 0.4999 0.8338 O
0.4240 0.2115 0.9581 O
0.7874 0.5755 0.1247 O
0.5000 0.5000 0.0834 O
0.4203 0.2103 0.7919 O
0.5798 0.7899 0.5418 O
0.0000 0.4999 0.4164 O
0.0000 0.4999 0.5004 O
0.2098 0.7898 0.4584 O
0.4208 0.2104 0.2915 O
0.5792 0.7896 0.2915 O
0.7876 0.5760 0.9581 O
0.5756 0.7882 0.0420 O
0.7897 0.2101 0.7919 O
0.5000 0.0000 0.5834 O
0.4999 0.0000 0.5004 O
0.0000 0.5000 0.0001 O
0.2127 0.4244 0.0420 O
0.4999 0.4999 0.3329 O
0.7901 0.2102 0.3747 O
0.2100 0.4203 0.7082 O
0.5006 0.0000 0.9167 O
0.2102 0.7901 0.3747 O
0.5001 0.0000 0.3329 O
0.4200 0.2102 0.4584 O
0.2126 0.7882 0.1247 O
0.7898 0.5797 0.7082 O
0.2105 0.7896 0.8752 O
0.7899 0.5797 0.6249 O
0.2124 0.4240 0.2086 O
0.2118 0.7873 0.0420 O
0.0000 0.4994 0.2500 O
0.7885 0.2124 0.9581 O
0.5006 0.5006 0.2500 O
0.5797 0.7898 0.7082 O
0.2103 0.4203 0.7919 O
0.5760 0.7876 0.9581 O
0.7896 0.5792 0.2915 O
0.2101 0.4202 0.5418 O
0.7873 0.2118 0.0420 O
0.2124 0.7885 0.9581 O
0.7895 0.5791 0.8752 O
0.4994 0.0000 0.2500 O
0.7885 0.5760 0.2086 O
0.0000 0.5000 0.7499 O
0.2101 0.7898 0.6249 O
0.2102 0.7900 0.7082 O
0.7899 0.5798 0.5418 O
0.7882 0.2126 0.1247 O
0.0000 0.5000 0.5834 O
0.4203 0.2100 0.7082 O
0.7882 0.5756 0.0420 O
0.4244 0.2127 0.0420 O
0.7902 0.5800 0.4584 O
0.0000 0.5006 0.9167 O
0.2104 0.4208 0.2915 O
0.4240 0.2124 0.2086 O
0.2101 0.7899 0.5418 O
0.7896 0.2105 0.8752 O
0.4209 0.2104 0.8752 O
0.4999 0.4999 0.6664 O
0.2118 0.4245 0.1247 O
0.5001 0.5001 0.8338 O
0.7899 0.5799 0.3747 O
0.2104 0.4209 0.8752 O
0.2102 0.4200 0.4584 O
0.5755 0.7874 0.1247 O
0.5000 0.0000 0.0834 O
0.5760 0.7885 0.2086 O
0.7900 0.2102 0.7082 O
0.5001 0.0000 0.6664 O
0.4202 0.2101 0.5418 O
0.5000 0.5000 0.5834 O
0.4245 0.2118 0.1247 O
0.2099 0.4201 0.3747 O
0.4201 0.2099 0.3747 O
0.4994 0.4994 0.9167 O
0.7898 0.2098 0.4584 O
0.5001 0.5001 0.4164 O
0.0000 0.4999 0.1666 O
0.5800 0.7902 0.4584 O
0.5001 0.5001 0.1666 O
0.0000 0.5000 0.0834 O
0.2101 0.7897 0.7919 O
0.4999 0.0000 0.8338 O
0.5001 0.5001 0.5004 O
0.5000 0.0000 0.7499 O
0.5000 0.5000 0.0001 O
0.4999 0.0000 0.1666 O
0.7899 0.5797 0.7919 O
0.5797 0.7899 0.6249 O
0.5799 0.7899 0.3747 O
0.2115 0.7876 0.2086 O
0.2115 0.4240 0.9581 O
0.0000 0.5001 0.3329 O
0.7876 0.2115 0.2086 O
0.5000 0.0000 0.0001 O
0.7898 0.2101 0.6249 O
0.7896 0.2104 0.2915 O
0.5797 0.7899 0.7919 O
0.0000 0.5001 0.6664 O
0.5000 0.5000 0.7499 O
0.2104 0.7896 0.2915 O
0.4999 0.0000 0.4164 O
0.2102 0.4203 0.6249 O
0.4203 0.2102 0.6249 O
0.7899 0.2101 0.5418 O
0.5791 0.7895 0.8752 O
0.5004 0.5004 0.7917 W
0.4999 0.4999 0.5415 W
0.0000 0.5004 0.7086 W
0.0000 0.5003 0.3751 W
0.5017 0.0000 0.9585 W
0.0000 0.4983 0.2082 W
0.4996 0.0000 0.4582 W
0.4980 0.0000 0.0416 W
0.0000 0.4980 0.0416 W
0.5001 0.5001 0.6251 W
0.4983 0.4983 0.9585 W
0.5004 0.0000 0.7086 W
0.4981 0.4981 0.1251 W
0.0000 0.5001 0.5415 W
0.4999 0.0000 0.8750 W
0.5001 0.0000 0.2917 W
0.5020 0.5020 0.0416 W
0.0000 0.5019 0.1251 W
0.0000 0.4999 0.8750 W
0.5001 0.5001 0.8750 W
0.0000 0.4996 0.7917 W
0.4997 0.4997 0.3751 W
0.5003 0.0000 0.3751 W
0.5001 0.0000 0.5415 W
0.4999 0.0000 0.6251 W
0.4999 0.4999 0.2917 W
0.4996 0.4996 0.7086 W
0.4996 0.0000 0.7917 W
0.0000 0.5017 0.9585 W
0.4983 0.0000 0.2082 W
0.0000 0.4999 0.6251 W
0.5019 0.0000 0.1251 W
0.5004 0.5004 0.4582 W
0.0000 0.4996 0.4582 W
0.0000 0.5001 0.2917 W
0.5017 0.5017 0.2082 W
0.0000 0.0000 0.4166 Rb
0.0000 0.0000 0.7501 Rb
0.0000 0.0000 0.2451 Rb
0.0000 0.0000 0.0833 Rb
0.0000 0.0000 0.5833 Rb
0.0000 0.0000 0.6668 Rb
0.0000 0.0000 0.3329 Rb
0.0000 0.0000 0.8339 Rb
0.0000 0.0000 0.4997 Rb
0.0000 0.0000 0.9216 Rb


No. 2
Rb5W18O54 | the Materials Project database | PBE with a Hubbard U | relaxed; ρ = 6.8 g/cm3; size of the total moment = 0.4 μB per cell; crystal system = trigonal; calculated total energy = -7.274 eV per atom
1.0
3.7426 -6.4824 0.0000
3.7426 6.4824 0.0000
0.0000 0.0000 23.0868
O W Rb
54 18 5
Direct
0.4998 0.4998 0.3335 O
0.0000 0.5000 0.0000 O
0.5002 0.5002 0.6665 O
0.2120 0.4237 0.5833 O
0.5761 0.7881 0.2503 O
0.5000 0.0000 0.0000 O
0.4239 0.2119 0.7497 O
0.2135 0.7867 0.9160 O
0.7881 0.5761 0.2503 O
0.2121 0.4239 0.2503 O
0.2133 0.7865 0.0840 O
0.7883 0.2120 0.4167 O
0.2119 0.4239 0.7497 O
0.2119 0.7879 0.2503 O
0.5002 0.0000 0.3335 O
0.7867 0.2135 0.9160 O
0.7865 0.2133 0.0840 O
0.5005 0.0000 0.8328 O
0.2117 0.7880 0.5833 O
0.7879 0.2119 0.2503 O
0.0000 0.5000 0.5000 O
0.4268 0.2133 0.9160 O
0.5005 0.5005 0.1672 O
0.7883 0.5763 0.5833 O
0.0000 0.4995 0.1672 O
0.5000 0.5000 0.0000 O
0.4237 0.2120 0.5833 O
0.4239 0.2121 0.2503 O
0.4995 0.4995 0.8328 O
0.4998 0.0000 0.6665 O
0.7880 0.2117 0.5833 O
0.2120 0.7883 0.4167 O
0.4237 0.2117 0.4167 O
0.5000 0.0000 0.5000 O
0.4268 0.2135 0.0840 O
0.0000 0.4998 0.6665 O
0.2135 0.4268 0.0840 O
0.0000 0.5005 0.8328 O
0.2117 0.4237 0.4167 O
0.7865 0.5732 0.9160 O
0.5732 0.7867 0.0840 O
0.4995 0.0000 0.1672 O
0.2121 0.7881 0.7497 O
0.0000 0.5002 0.3335 O
0.7867 0.5732 0.0840 O
0.5000 0.5000 0.5000 O
0.7881 0.2121 0.7497 O
0.5761 0.7879 0.7497 O
0.2133 0.4268 0.9160 O
0.7880 0.5763 0.4167 O
0.5763 0.7880 0.4167 O
0.5732 0.7865 0.9160 O
0.5763 0.7883 0.5833 O
0.7879 0.5761 0.7497 O
0.5002 0.5002 0.4165 W
0.4971 0.4971 0.2497 W
0.4926 0.0000 0.0827 W
0.5029 0.0000 0.2497 W
0.0000 0.4998 0.4165 W
0.5074 0.5074 0.0827 W
0.0000 0.4926 0.0827 W
0.4998 0.4998 0.5835 W
0.5002 0.0000 0.5835 W
0.5029 0.5029 0.7503 W
0.0000 0.5002 0.5835 W
0.0000 0.5074 0.9173 W
0.0000 0.4971 0.7503 W
0.4926 0.4926 0.9173 W
0.4971 0.0000 0.7503 W
0.0000 0.5029 0.2497 W
0.5074 0.0000 0.9173 W
0.4998 0.0000 0.4165 W
0.0000 0.0000 0.8455 Rb
0.0000 0.0000 0.5000 Rb
0.0000 0.0000 0.1545 Rb
0.0000 0.0000 0.3313 Rb
0.0000 0.0000 0.6687 Rb


No. 3
RbW6O18 | the Materials Project database | PBE with a Hubbard U | relaxed; ρ = 6.5 g/cm3; crystal system = orthorhombic; calculated total energy = -7.382 eV per atom
1.0
-3.7589 3.8652 6.5159
3.7589 -3.8652 6.5159
3.7589 3.8652 -6.5159
O W Rb
18 6 1
Direct
0.1419 0.5760 0.9297 O
0.7500 0.0001 0.2501 O
0.5000 0.5000 0.0000 O
0.3538 0.7879 0.9297 O
0.4597 0.2121 0.2475 O
0.6462 0.5760 0.4341 O
0.0354 0.7879 0.2475 O
0.9646 0.2121 0.7525 O
0.7500 0.4998 0.7499 O
0.0000 0.5000 0.5000 O
0.2500 0.9999 0.7499 O
0.5403 0.7879 0.7525 O
0.6462 0.2121 0.0703 O
0.2500 0.5002 0.2501 O
0.8581 0.7879 0.4341 O
0.1419 0.2121 0.5659 O
0.3538 0.4240 0.5659 O
0.8581 0.4240 0.0703 O
0.2508 0.5000 0.7508 W
0.0000 0.5000 0.0000 W
0.5000 0.0000 0.0000 W
0.5000 0.5000 0.5000 W
0.7492 0.5000 0.2492 W
0.0000 0.0000 0.5000 W
0.0000 0.0000 0.0000 Rb


> ρ of number 2 (Rb5W18O54)?

6.8 g/cm3